1.
MgZnFe4O8 | GGA+U | optimized geometry

```
MgZnFe4O8
1.0
2.923 0.000 0.599
1.324 7.565 0.971
-0.102 0.603 7.925
O Zn Mg Fe
8 1 1 4
Cartesian
1.707 2.919 6.549
2.407 5.063 3.138
0.718 2.561 3.948
3.679 7.732 4.355
2.705 2.654 1.676
1.405 5.169 8.020
3.393 5.232 5.753
1.744 7.755 6.366
1.064 1.464 2.253
2.072 3.899 4.773
2.054 6.524 4.851
1.138 4.234 1.901
1.958 1.344 5.321
3.000 4.034 7.667
```

Output
ΔE to the lowest computed polymorph   0.1945 eV per atom
SG   Cm, No. 8
DFT total energy   -6.107 eV per atom
DFT formation energy   -1.69 eV/atom

2.
CaMn8O13F3 | GGA+U | optimized geometry

```
CaMn8O13F3
1.0
4.826 0.587 -5.274
0.475 5.821 -0.256
4.618 0.167 5.058
O F Mn Ca
13 3 8 1
Cartesian
1.210 0.639 -0.427
3.699 0.839 2.819
1.438 3.740 -0.508
6.255 5.856 -3.395
8.333 2.922 0.165
5.823 1.673 -0.181
5.842 2.355 2.277
6.599 4.380 -0.888
6.343 5.137 1.883
3.694 0.953 -2.277
4.456 5.505 0.008
3.881 4.025 2.481
3.458 3.461 -1.985
3.361 2.379 0.412
6.127 2.988 -3.109
8.783 6.079 -0.403
4.927 1.545 -4.060
6.145 3.426 0.718
2.408 2.152 -1.339
5.198 5.228 3.424
2.864 4.437 0.849
4.882 0.976 1.338
7.743 3.071 -1.722
5.585 5.897 -1.535
4.220 4.589 -3.712
```

Output
ΔE to the lowest computed polymorph   0.0501 eV per atom
SG   P1, No. 1
DFT total energy   -6.875 eV per atom
DFT formation energy   -2.01 eV/atom

3.
Na4MgCo2O6 | GGA+U | optimized geometry

```
Na4MgCo2O6
1.0
-3.006 4.840 3.366
-0.428 -6.424 1.529
4.891 -0.925 3.132
Na O Co Mg
4 6 2 1
Cartesian
-0.191 -5.479 2.001
1.424 -0.718 4.675
-0.216 -2.264 3.024
2.230 -6.464 3.382
-1.039 -0.483 4.775
3.356 -4.733 4.731
2.571 0.800 5.971
0.500 0.227 2.582
1.068 -2.909 5.663
2.778 -2.120 3.225
2.352 -3.369 4.468
-1.007 0.649 3.412
1.234 2.083 5.448
```

Output
ΔE to the lowest computed polymorph   0.1546 eV per atom
SG   Cm, No. 8
DFT total energy   -4.887 eV per atom
DFT formation energy   -1.55 eV/atom

4.
Sm2MgCr2O8 | GGA+U | optimized geometry

```
Sm2MgCr2O8
1.0
5.942 -0.010 -1.691
-3.370 4.894 -1.691
0.049 0.093 6.269
O Sm Cr Mg
8 2 2 1
Cartesian
0.431 1.392 4.861
1.077 1.179 1.728
4.130 1.724 1.596
3.561 0.642 4.426
1.741 3.880 1.162
-1.560 3.520 1.399
-1.188 4.225 -1.647
2.233 3.375 -1.975
2.477 1.844 -0.124
0.412 2.991 3.011
4.610 0.780 3.011
-2.184 4.299 -0.124
-2.284 4.410 3.011
```

Output
ΔE to the lowest computed polymorph   0.0050 eV per atom
SG   C2, No. 5
DFT total energy   -7.473 eV per atom
DFT formation energy   -2.82 eV/atom

5.
Li3V4NiO12 | GGA+U | optimized geometry

```
Li3V4NiO12
1.0
-0.980 4.216 3.211
-6.705 -0.217 8.403
-1.799 0.238 9.343
V O Li Ni
4 12 3 1
Cartesian
-8.077 1.977 14.776
-1.824 0.313 9.408
-4.768 2.172 10.527
-4.296 4.072 7.470
-2.591 1.480 4.732
-6.932 0.535 13.967
-2.476 3.620 6.458
-3.495 0.569 9.779
-7.221 2.969 12.963
-3.923 3.014 8.842
-3.394 2.683 11.504
-5.872 3.496 10.675
-2.121 1.074 7.488
-6.759 2.627 15.710
-5.529 0.981 11.600
-5.976 1.329 8.969
-4.144 1.170 7.800
-2.191 3.521 9.844
-5.518 3.375 14.078
-0.832 1.299 3.706
```

Output
ΔE to the lowest computed polymorph   0.0000 eV per atom
SG   P1, No. 1
DFT total energy   -6.710 eV per atom
DFT formation energy   -2.23 eV/atom

6.
Mn2O3F | GGA+U | optimized geometry

```
Mn2O3F
1.0
-4.869 -2.441 0.745
0.229 -5.486 -0.267
0.687 -0.350 4.519
O Mn F
6 4 2
Cartesian
-3.817 -4.067 1.929
-0.176 -1.532 3.727
-0.135 -4.210 3.068
-1.281 -5.582 1.426
-2.672 -2.695 3.572
-3.777 -6.744 1.270
-1.976 -4.138 2.499
0.114 -2.743 -0.133
-2.434 -1.220 0.372
0.344 -0.175 2.259
-2.436 -5.358 3.855
-1.517 -2.918 1.142
```

Output
ΔE to the lowest computed polymorph   0.0347 eV per atom
SG   C2/m, No. 12
DFT total energy   -6.877 eV per atom
DFT formation energy   -2.01 eV/atom

7.
Li9Co7O16 | GGA+U | optimized geometry

```
Li9Co7O16
1.0
-3.673 0.285 -3.253
4.788 1.520 -2.781
2.504 -9.489 -1.207
O Li Co
16 9 7
Cartesian
1.078 -8.233 -4.582
1.860 -2.192 -2.316
-0.839 -6.179 -3.303
-0.259 -3.418 -3.720
0.284 -0.796 -4.143
2.328 -2.745 -5.341
1.760 -5.492 -4.925
4.459 -1.505 -3.938
3.879 -4.267 -3.521
2.542 0.549 -2.660
5.512 -6.164 -4.303
1.291 -4.940 -1.900
3.402 -7.290 -5.759
-1.892 -1.520 -2.938
0.218 -0.394 -1.482
3.335 -6.888 -3.098
2.362 -1.039 -3.989
-1.836 0.142 -1.627
1.810 -3.842 -3.621
0.558 0.902 -3.017
1.258 -6.645 -3.252
0.260 -2.323 -5.441
2.810 -8.134 -1.444
0.810 0.449 -5.797
3.359 -5.361 -1.800
1.537 -3.362 -0.805
-0.584 -4.602 -2.230
-0.004 -1.799 -2.632
1.511 -7.086 -6.043
2.083 -4.322 -6.436
2.109 -0.598 -1.198
3.624 -5.885 -4.610
```

Output
ΔE to the lowest computed polymorph   0.0028 eV per atom
SG   P-1, No. 2
DFT total energy   -5.617 eV per atom
DFT formation energy   -1.75 eV/atom

8.
MgSc4Fe4O12 | GGA+U | optimized geometry

```
MgSc4Fe4O12
1.0
5.344 -0.274 -0.005
-0.285 5.592 0.002
-0.006 0.003 7.836
O Fe Sc Mg
12 4 4 1
Cartesian
4.093 4.420 0.641
4.082 4.434 3.296
4.209 3.018 5.876
3.477 1.563 3.313
3.472 1.564 0.599
3.440 0.232 5.874
1.514 3.638 7.258
1.025 0.842 4.571
0.693 2.247 1.941
1.775 4.976 1.953
1.021 0.854 7.171
1.519 3.617 4.447
5.166 2.285 4.232
2.308 5.350 3.994
2.296 5.355 7.761
5.170 2.309 7.540
2.314 2.230 5.874
5.007 4.959 5.874
2.641 2.963 1.963
4.593 0.528 1.949
0.088 4.064 1.993
```

Output
ΔE to the lowest computed polymorph   0.1117 eV per atom
SG   P1, No. 1
DFT total energy   -7.532 eV per atom
DFT formation energy   -2.63 eV/atom

9.
Pa2Cr2O5 | GGA+U | optimized geometry

```
Pa2Cr2O5
1.0
4.298 0.000 0.000
0.000 4.298 0.000
0.000 0.000 8.650
O Cr Pa
5 2 2
Cartesian
0.000 2.149 2.181
0.000 0.000 4.325
0.000 2.149 6.469
2.149 0.000 2.181
2.149 0.000 6.469
2.149 2.149 4.325
2.149 2.149 0.000
0.000 0.000 6.479
0.000 0.000 2.171
```

Output
SG   P4/mmm, No. 123
DFT total energy   -8.734 eV per atom
DFT formation energy   -2.55 eV/atom

10.
KMo5O13 | GGA+U | optimized geometry

```
KMo5O13
1.0
-5.385 -1.894 -0.183
2.436 -1.488 -4.947
4.936 -14.696 6.850
O Mo K
26 10 2
Cartesian
2.224 -5.237 -2.354
-1.832 -7.911 -0.146
5.002 -13.687 3.507
1.561 -8.389 1.846
-2.042 -2.341 -3.552
3.820 -10.167 1.866
3.772 -15.096 1.368
2.590 -11.577 -0.272
2.918 -3.119 -4.148
0.736 -1.725 -3.814
4.292 -7.211 -2.241
-0.603 -6.502 1.992
-0.908 -1.041 -1.579
2.210 -14.384 3.684
0.426 -9.689 -0.127
-2.305 -10.867 3.961
-3.015 -4.392 -1.787
-0.223 -3.695 -1.964
3.106 -8.780 -0.525
1.251 -16.353 5.533
-0.237 -12.841 4.074
-1.119 -9.298 2.245
0.879 -6.976 -0.434
-0.930 -14.959 5.868
-1.785 -2.982 0.352
1.108 -11.102 2.154
-0.287 -8.027 0.929
4.030 -15.279 3.228
-0.456 -11.170 3.098
0.000 0.000 0.000
2.443 -6.908 -1.378
0.655 -14.477 4.639
2.468 -7.348 3.425
2.274 -10.051 0.791
1.332 -3.601 -2.920
-2.043 -2.799 -1.508
5.048 -12.567 0.855
-3.061 -5.512 0.865
```

Output
SG   Cmcm, No. 63
DFT total energy   -6.973 eV per atom
DFT formation energy   -1.99 eV/atom

11.
Li3V2Cr2O8 | GGA+U | optimized geometry

```
Li3V2Cr2O8
1.0
2.849 -3.013 4.158
-2.861 2.978 4.141
-3.025 -2.913 4.209
O Cr Li V
8 2 3 2
Cartesian
-0.093 -3.093 6.341
-0.036 -0.149 2.016
-2.945 0.144 6.168
-1.516 -4.422 8.305
-1.400 -1.483 8.424
-3.001 -2.800 10.492
-1.638 -1.465 4.084
-1.521 1.474 4.203
-1.513 -1.456 2.105
0.000 0.000 0.000
-0.088 -2.963 4.184
-0.006 -0.018 4.150
-1.431 1.489 2.071
1.424 -1.507 2.079
-2.943 0.032 4.175
```

Output
ΔE to the lowest computed polymorph   0.0141 eV per atom
SG   P-1, No. 2
DFT total energy   -7.050 eV per atom
DFT formation energy   -2.39 eV/atom

12.
MgMn6O8F4 | GGA+U | optimized geometry

```
MgMn6O8F4
1.0
-4.040 0.515 3.098
-6.919 -9.127 -8.343
0.992 -2.323 1.700
O Mn F Mg
8 6 4 1
Cartesian
-7.060 -4.767 -2.308
-6.694 -6.627 -5.065
-5.658 -4.412 0.077
-4.699 -6.384 -3.183
-0.620 -3.236 1.349
-2.144 -3.648 -0.965
-7.842 -10.128 -3.712
-2.369 -1.403 2.212
-4.913 -5.839 -5.044
-2.762 -2.183 4.106
-5.410 -5.475 -1.522
-2.407 -3.140 -2.847
-7.345 -8.215 -4.122
-2.325 -2.582 0.592
-8.199 -7.274 -2.332
-6.653 -9.729 -6.605
-4.615 -3.804 -2.446
-4.145 -1.804 0.077
-7.380 -11.138 -5.369
```

Output
ΔE to the lowest computed polymorph   0.0579 eV per atom
SG   P1, No. 1
DFT total energy   -6.806 eV per atom
DFT formation energy   -2.26 eV/atom

13.
Li6Cr5O12 | GGA+U | optimized geometry

```
Li6Cr5O12
1.0
-8.126 -1.055 3.199
-1.177 -2.994 -3.976
2.591 -8.741 3.699
Li O Cr
12 24 10
Cartesian
-1.972 -8.567 2.141
0.039 -6.880 3.556
-2.071 -3.874 -0.231
-7.379 -4.565 1.820
-0.148 -2.208 1.177
-4.034 -10.253 0.748
-4.816 -8.938 3.222
-4.687 -4.263 0.772
-2.313 -1.074 -0.137
0.701 -8.173 1.076
-6.535 -5.881 -0.719
-4.429 -11.720 3.071
-6.183 -2.843 1.413
-3.035 -10.215 2.677
-1.118 -4.048 1.746
-2.835 -8.384 0.084
1.610 -8.186 3.086
-1.319 -8.560 4.227
-5.509 -8.731 1.142
-8.318 -4.610 -0.154
-0.730 -2.193 -0.916
-6.566 -4.754 3.896
-3.885 -4.426 2.860
-0.472 -9.940 1.486
-6.329 -7.458 3.618
-0.883 -6.765 1.554
-3.698 -2.644 0.190
-5.398 -4.224 -1.316
-3.079 -5.682 0.365
-3.930 -9.066 5.062
-2.710 -3.714 -2.169
-5.975 -10.530 3.898
-3.597 -7.092 2.599
-0.171 -8.019 -0.984
-0.382 -5.343 -0.753
-5.816 -6.023 1.363
-5.085 -5.939 3.274
-4.320 -2.767 -1.670
-4.318 -7.202 0.715
-1.632 -6.852 -0.350
0.350 -5.231 1.126
-2.372 -5.537 2.203
1.099 -10.987 0.987
-5.193 -10.386 5.694
-4.969 -1.434 0.816
-7.032 -7.602 1.778
```

Output
SG   P2_1, No. 4
DFT total energy   -6.627 eV per atom
DFT formation energy   -2.24 eV/atom

14.
Li2Mn7O12 | GGA+U | optimized geometry

```
Li2Mn7O12
1.0
-8.933 -1.031 -0.581
0.558 -2.172 -4.724
0.969 -9.690 2.308
O Mn Li
24 14 4
Cartesian
-2.819 -5.468 -2.156
0.213 -7.825 -2.802
-1.586 -3.236 -3.799
-5.691 -9.643 0.812
-1.130 -10.137 -1.281
0.222 -9.185 1.535
-5.814 -8.651 -2.986
0.007 -5.278 -2.110
-0.622 -2.151 -1.624
-7.178 -7.725 -1.009
-4.868 -4.751 -0.015
-7.295 -3.964 -4.382
-4.236 -10.448 -1.206
-4.401 -7.267 -0.690
-6.495 -2.782 -1.729
-6.971 -11.132 -1.292
-3.428 -2.108 -1.899
-4.614 -3.361 -4.335
-2.476 -8.145 -3.002
-6.143 -5.942 -2.695
-2.509 -9.206 1.230
-1.631 -6.993 -0.325
-1.965 -4.286 -0.034
-7.563 -5.052 -0.165
-2.338 -11.637 -1.562
-5.295 -12.041 -1.716
-1.439 -7.395 1.553
-4.107 -10.747 0.735
-8.038 -1.599 -1.627
-3.166 -5.775 -0.246
-0.317 -1.803 -3.537
-2.071 -0.848 -1.277
-6.020 -6.246 -0.392
-1.287 -6.636 -2.597
-1.769 -3.832 -1.892
-5.809 -5.481 -4.539
-5.759 -9.076 -1.112
-7.339 -7.476 -2.951
-0.095 -5.487 -0.084
-7.604 -4.618 -2.235
-4.288 -7.058 -2.715
-2.682 -8.607 -0.948
```

Output
SG   P2_1, No. 4
DFT total energy   -7.120 eV per atom
DFT formation energy   -2.00 eV/atom